[1]
Compound: PmDyCu2
Source: Materials Project
Functional: meta-GGA r2SCAN
Structure: optimized geometry

a = 4.9361 Å, b = 4.9361 Å, c = 4.9361 Å
α = 60.00°, β = 60.00°, γ = 60.00°
Sites, in units of the cell vectors:
Pm  0.0000  0.0000  0.0000
Dy  0.5000  0.5000  0.5000
Cu  0.2500  0.2500  0.2500
Cu  0.7500  0.7500  0.7500

* volume: 85.0 Å³/cell
* ΔH_f (0 K): -0.207 eV/atom
* space group: Fm-3m
* calculated total energy: -21.01 eV per atom



[2]
Compound: Dy2CuPt
Source: Materials Project
Functional: meta-GGA r2SCAN
Structure: optimized geometry

a = 4.8862 Å, b = 4.8862 Å, c = 4.8862 Å
α = 60.00°, β = 60.00°, γ = 60.00°
Sites, in units of the cell vectors:
Dy  0.2500  0.2500  0.2500
Dy  0.7500  0.7500  0.7500
Cu  0.0000  0.0000  0.0000
Pt  0.5000  0.5000  0.5000

* volume: 82.5 Å³/cell
* ΔH_f (0 K): -0.829 eV/atom
* space group: Fm-3m
* calculated total energy: -32.40 eV per atom



[3]
Compound: DyCuSb2
Source: Materials Project
Functional: meta-GGA r2SCAN
Structure: optimized geometry

a = 4.2868 Å, b = 4.2943 Å, c = 9.8527 Å
α = 90.00°, β = 90.23°, γ = 90.00°
Sites, in units of the cell vectors:
Dy  0.2475  0.2500  0.2525
Dy  0.7525  0.7500  0.7475
Cu  0.2423  0.7500  0.9997
Cu  0.7577  0.2500  0.0003
Sb  0.2499  0.7500  0.4999
Sb  0.2546  0.2500  0.8427
Sb  0.7454  0.7500  0.1573
Sb  0.7501  0.2500  0.5001

* volume: 181.4 Å³/cell
* ΔH_f (0 K): -0.688 eV/atom
* space group: P2_1/m
* calculated total energy: -24.25 eV per atom



ΔH_f (0 K) of number 3 (DyCuSb2)?
-0.688 eV/atom



calculated total energy of number 3 (DyCuSb2)?
-24.25 eV per atom



Which of these has the lowest ΔH_f (0 K)?
Dy2CuPt